Entry 1:
Computed, not measured: a relaxed Li2SnB2O6 crystal at the PBE level of DFT.

Cell: 8.155 6.507 9.943 Å, 90.00 115.82 90.00°
Atoms (fractional coordinates):
1 Li 0.000 0.002 0.000
2 Li 0.000 0.998 0.500
3 Li 0.160 0.330 0.162
4 Li 0.160 0.670 0.662
5 Li 0.624 0.023 0.470
6 Li 0.624 0.977 0.970
7 Li 0.836 0.493 0.023
8 Li 0.836 0.507 0.523
9 Sn 0.238 0.210 0.825
10 Sn 0.238 0.790 0.325
11 Sn 0.607 0.296 0.188
12 Sn 0.607 0.704 0.688
13 B 0.358 0.075 0.637
14 B 0.358 0.925 0.137
15 B 0.503 0.419 0.406
16 B 0.503 0.581 0.906
17 B 0.894 0.106 0.215
18 B 0.894 0.894 0.715
19 B 0.961 0.409 0.824
20 B 0.961 0.591 0.324
21 O 0.037 0.445 0.724
22 O 0.037 0.555 0.224
23 O 0.064 0.047 0.229
24 O 0.064 0.953 0.729
25 O 0.070 0.277 0.942
26 O 0.070 0.723 0.442
27 O 0.202 0.186 0.581
28 O 0.202 0.814 0.081
29 O 0.412 0.403 0.250
30 O 0.412 0.597 0.750
31 O 0.424 0.053 0.057
32 O 0.424 0.947 0.557
33 O 0.434 0.432 0.971
34 O 0.434 0.568 0.471
35 O 0.448 0.071 0.793
36 O 0.448 0.929 0.293
37 O 0.652 0.308 0.483
38 O 0.652 0.692 0.983
39 O 0.781 0.213 0.084
40 O 0.781 0.787 0.584
41 O 0.798 0.480 0.813
42 O 0.798 0.520 0.313
43 O 0.816 0.078 0.311
44 O 0.816 0.922 0.811

Energy of formation in eV per atom: -2.47
Crystal system: monoclinic
Space group: Pc
Uncorrected energy in eV/atom: -6.72


Entry 2:
Computed, not measured: a relaxed Dy2Re2Si2C crystal at the PBE level of DFT.

Cell: 5.830 5.830 6.943 Å, 124.92 124.92 40.07°
Atoms (fractional coordinates):
1 Dy 0.072 0.072 0.300
2 Dy 0.928 0.928 0.700
3 Re 0.293 0.293 0.908
4 Re 0.707 0.707 0.092
5 Si 0.358 0.358 0.318
6 Si 0.642 0.642 0.682
7 C 0.500 0.500 0.000

Energy of formation in eV per atom: -0.62
Crystal system: monoclinic
Space group: C2/m
Uncorrected energy in eV/atom: -8.36


Entry 3:
Computed, not measured: a relaxed Ho6Mn23 crystal at the PBE level of DFT.

Cell: 8.506 8.506 8.506 Å, 60.00 60.00 60.00°
Atoms (fractional coordinates):
1 Ho 0.204 0.204 0.796
2 Ho 0.204 0.796 0.204
3 Ho 0.204 0.796 0.796
4 Ho 0.796 0.204 0.204
5 Ho 0.796 0.204 0.796
6 Ho 0.796 0.796 0.204
7 Mn 0.000 0.000 0.500
8 Mn 0.000 0.500 0.000
9 Mn 0.000 0.500 0.500
10 Mn 0.135 0.622 0.622
11 Mn 0.177 0.177 0.177
12 Mn 0.177 0.177 0.469
13 Mn 0.177 0.469 0.177
14 Mn 0.378 0.378 0.378
15 Mn 0.378 0.378 0.865
16 Mn 0.378 0.865 0.378
17 Mn 0.469 0.177 0.177
18 Mn 0.500 0.000 0.000
19 Mn 0.500 0.000 0.500
20 Mn 0.500 0.500 0.000
21 Mn 0.500 0.500 0.500
22 Mn 0.531 0.823 0.823
23 Mn 0.622 0.135 0.622
24 Mn 0.622 0.622 0.135
25 Mn 0.622 0.622 0.622
26 Mn 0.823 0.531 0.823
27 Mn 0.823 0.823 0.531
28 Mn 0.823 0.823 0.823
29 Mn 0.865 0.378 0.378

Energy of formation in eV per atom: 0.08
Crystal system: cubic
Space group: Fm-3m
Uncorrected energy in eV/atom: -8.14


Entry 4:
Computed, not measured: a relaxed Ho7Co6Sn23 crystal at the PBE level of DFT.

Cell: 9.705 9.705 9.931 Å, 90.00 90.00 120.00°
Atoms (fractional coordinates):
1 Ho 0.000 0.000 0.000
2 Ho 0.043 0.521 0.307
3 Ho 0.479 0.521 0.307
4 Ho 0.479 0.957 0.307
5 Ho 0.521 0.043 0.693
6 Ho 0.521 0.479 0.693
7 Ho 0.957 0.479 0.693
8 Co 0.168 0.336 0.802
9 Co 0.168 0.832 0.802
10 Co 0.336 0.168 0.198
11 Co 0.664 0.832 0.802
12 Co 0.832 0.168 0.198
13 Co 0.832 0.664 0.198
14 Sn 0.000 0.000 0.500
15 Sn 0.000 0.347 0.000
16 Sn 0.000 0.653 0.000
17 Sn 0.118 0.235 0.274
18 Sn 0.118 0.882 0.274
19 Sn 0.218 0.436 0.547
20 Sn 0.218 0.782 0.547
21 Sn 0.235 0.118 0.726
22 Sn 0.333 0.667 0.116
23 Sn 0.333 0.667 0.820
24 Sn 0.347 0.000 0.000
25 Sn 0.347 0.347 0.000
26 Sn 0.436 0.218 0.453
27 Sn 0.564 0.782 0.547
28 Sn 0.653 0.000 0.000
29 Sn 0.653 0.653 0.000
30 Sn 0.667 0.333 0.180
31 Sn 0.667 0.333 0.884
32 Sn 0.765 0.882 0.274
33 Sn 0.782 0.218 0.453
34 Sn 0.782 0.564 0.453
35 Sn 0.882 0.118 0.726
36 Sn 0.882 0.765 0.726

Energy of formation in eV per atom: -0.40
Crystal system: trigonal
Space group: P-3m1
Uncorrected energy in eV/atom: -5.04


Entry 5:
Computed, not measured: a relaxed Hf3Tl crystal at the PBE level of DFT.

Cell: 5.636 5.636 5.636 Å, 134.70 134.70 65.99°
Atoms (fractional coordinates):
1 Hf 0.000 0.000 0.000
2 Hf 0.250 0.750 0.500
3 Hf 0.750 0.250 0.500
4 Tl 0.500 0.500 0.000

Energy of formation in eV per atom: 0.01
Crystal system: tetragonal
Space group: I4/mmm
Uncorrected energy in eV/atom: -8.05


Entry 6:
Computed, not measured: a relaxed Lu2Ga5Ni12 crystal at the PBE level of DFT.

Cell: 8.383 8.383 8.289 Å, 90.00 90.00 120.00°
Atoms (fractional coordinates):
1 Lu 0.000 0.000 0.250
2 Lu 0.000 0.000 0.750
3 Lu 0.333 0.667 0.250
4 Lu 0.667 0.333 0.750
5 Ga 0.000 0.500 0.000
6 Ga 0.000 0.500 0.500
7 Ga 0.333 0.667 0.606
8 Ga 0.333 0.667 0.894
9 Ga 0.500 0.000 0.000
10 Ga 0.500 0.000 0.500
11 Ga 0.500 0.500 0.000
12 Ga 0.500 0.500 0.500
13 Ga 0.667 0.333 0.106
14 Ga 0.667 0.333 0.394
15 Ni 0.027 0.352 0.750
16 Ni 0.027 0.675 0.750
17 Ni 0.166 0.332 0.015
18 Ni 0.166 0.332 0.485
19 Ni 0.166 0.834 0.015
20 Ni 0.166 0.834 0.485
21 Ni 0.325 0.352 0.750
22 Ni 0.325 0.973 0.750
23 Ni 0.332 0.166 0.515
24 Ni 0.332 0.166 0.985
25 Ni 0.352 0.027 0.250
26 Ni 0.352 0.325 0.250
27 Ni 0.648 0.675 0.750
28 Ni 0.648 0.973 0.750
29 Ni 0.668 0.834 0.015
30 Ni 0.668 0.834 0.485
31 Ni 0.675 0.027 0.250
32 Ni 0.675 0.648 0.250
33 Ni 0.834 0.166 0.515
34 Ni 0.834 0.166 0.985
35 Ni 0.834 0.668 0.515
36 Ni 0.834 0.668 0.985
37 Ni 0.973 0.325 0.250
38 Ni 0.973 0.648 0.250

Energy of formation in eV per atom: -0.34
Crystal system: hexagonal
Space group: P6_3/mmc
Uncorrected energy in eV/atom: -5.27


Entry 7:
Computed, not measured: a relaxed Mn2B4W crystal at the PBE level of DFT.

Cell: 6.791 6.791 6.791 Å, 154.28 153.65 37.15°
Atoms (fractional coordinates):
1 Mn 0.186 0.186 0.000
2 Mn 0.814 0.814 0.000
3 B 0.352 0.352 0.000
4 B 0.428 0.928 0.500
5 B 0.572 0.072 0.500
6 B 0.648 0.648 0.000
7 W 0.000 0.500 0.500

Energy of formation in eV per atom: -0.41
Crystal system: orthorhombic
Space group: Immm
Uncorrected energy in eV/atom: -8.70


Entry 8:
Computed, not measured: a relaxed MgV2S4N6Cl4 crystal at the PBE level of DFT.

Cell: 5.910 7.257 8.647 Å, 88.85 79.11 73.60°
Atoms (fractional coordinates):
1 Mg 0.000 0.000 0.000
2 V 0.250 0.019 0.389
3 V 0.750 0.981 0.611
4 S 0.225 0.721 0.695
5 S 0.232 0.256 0.088
6 S 0.768 0.744 0.912
7 S 0.775 0.279 0.305
8 N 0.067 0.697 0.863
9 N 0.079 0.852 0.579
10 N 0.349 0.140 0.223
11 N 0.651 0.860 0.777
12 N 0.921 0.148 0.421
13 N 0.933 0.303 0.137
14 Cl 0.187 0.804 0.191
15 Cl 0.359 0.205 0.582
16 Cl 0.641 0.795 0.418
17 Cl 0.813 0.196 0.809

Energy of formation in eV per atom: -0.47
Crystal system: triclinic
Space group: P-1
Uncorrected energy in eV/atom: -5.84